# PBE-GGA LiGa3P2O11F3, optimized geometry
# Symmetry: P2_1 (4)
# Calculated volume in Å³/cell: 518
# ΔH_f (0 K) in eV per atom: -2.076
# Size of the total moment in μB/atom: 0.150
# Crystal system: monoclinic
data_LiGa3P2O11F3
_chemical_formula_sum 'Li2 Ga6 P4 O22 F6'
_space_group_name_H-M_alt 'P 1'
_space_group_IT_number 1
_space_group_name_Hall 'P 1'
_cell_length_a 8.4488
_cell_length_b 7.3588
_cell_length_c 8.5430
_cell_angle_alpha 77.33
_cell_angle_beta 90.00
_cell_angle_gamma 90.00
loop_
_atom_site_label
_atom_site_type_symbol
_atom_site_fract_x
_atom_site_fract_y
_atom_site_fract_z
_atom_site_occupancy
Li1 Li 0.5837 0.4925 0.6590 1
Li2 Li 0.0837 0.5075 0.3410 1
Ga1 Ga 0.4897 0.7405 0.9991 1
Ga2 Ga 0.9897 0.2595 0.0009 1
Ga3 Ga 0.2471 0.8340 0.6473 1
Ga4 Ga 0.7471 0.1660 0.3527 1
Ga5 Ga 0.7529 0.6759 0.3456 1
Ga6 Ga 0.2529 0.3241 0.6544 1
P1 P 0.0577 0.9389 0.3191 1
P2 P 0.5577 0.0611 0.6809 1
P3 P 0.9424 0.5560 0.6777 1
P4 P 0.4424 0.4440 0.3223 1
O1 O 0.6115 0.9445 0.8499 1
O2 O 0.1115 0.0555 0.1501 1
O3 O 0.3834 0.5670 0.1637 1
O4 O 0.8834 0.4330 0.8363 1
O5 O 0.2076 0.8740 0.4168 1
O6 O 0.7076 0.1260 0.5832 1
O7 O 0.7911 0.6227 0.5793 1
O8 O 0.2911 0.3773 0.4207 1
O9 O 0.0405 0.7219 0.7068 1
O10 O 0.5405 0.2781 0.2932 1
O11 O 0.9693 0.7614 0.2923 1
O12 O 0.4693 0.2386 0.7077 1
O13 O 0.4472 0.9787 0.0698 1
O14 O 0.9472 0.0213 0.9302 1
O15 O 0.5448 0.5748 0.8572 1
O16 O 0.0448 0.4252 0.1428 1
O17 O 0.4531 0.9409 0.5980 1
O18 O 0.9531 0.0591 0.4020 1
O19 O 0.5468 0.5567 0.4192 1
O20 O 0.0468 0.4433 0.5808 1
O21 O 0.3418 0.5788 0.6726 1
O22 O 0.8418 0.4212 0.3274 1
F1 F 0.2920 0.8006 0.8817 1
F2 F 0.7920 0.1994 0.1183 1
F3 F 0.6892 0.7036 0.1219 1
F4 F 0.1892 0.2964 0.8781 1
F5 F 0.6656 0.9198 0.3357 1
F6 F 0.1656 0.0802 0.6643 1

# PBE-GGA Na2Ca3TiS6O24, optimized geometry
# Symmetry: P3 (143)
# Calculated volume in Å³/cell: 1680
# ΔH_f (0 K) in eV per atom: -2.439
# Size of the total moment in μB/atom: 0.000
# Crystal system: trigonal
data_Na2Ca3TiS6O24
_chemical_formula_sum 'Na6 Ca9 Ti3 S18 O72'
_space_group_name_H-M_alt 'P 1'
_space_group_IT_number 1
_space_group_name_Hall 'P 1'
_cell_length_a 9.0463
_cell_length_b 9.0463
_cell_length_c 23.7049
_cell_angle_alpha 90.00
_cell_angle_beta 90.00
_cell_angle_gamma 120.00
loop_
_atom_site_label
_atom_site_type_symbol
_atom_site_fract_x
_atom_site_fract_y
_atom_site_fract_z
_atom_site_occupancy
Na1 Na 0.0000 0.0000 0.5063 1
Na2 Na 0.0000 0.0000 0.9991 1
Na3 Na 0.6667 0.3333 0.8309 1
Na4 Na 0.6667 0.3333 0.3370 1
Na5 Na 0.3333 0.6667 0.1754 1
Na6 Na 0.3333 0.6667 0.6514 1
Ca1 Ca 0.0000 0.0000 0.6441 1
Ca2 Ca 0.0000 0.0000 0.1478 1
Ca3 Ca 0.6667 0.3333 0.6822 1
Ca4 Ca 0.6667 0.3333 0.1873 1
Ca5 Ca 0.6667 0.3333 0.9818 1
Ca6 Ca 0.6667 0.3333 0.4833 1
Ca7 Ca 0.3333 0.6667 0.5120 1
Ca8 Ca 0.3333 0.6667 0.3180 1
Ca9 Ca 0.3333 0.6667 0.8153 1
Ti1 Ti 0.0000 0.0000 0.3506 1
Ti2 Ti 0.0000 0.0000 0.8482 1
Ti3 Ti 0.3333 0.6667 0.0157 1
S1 S 0.2894 0.0037 0.2527 1
S2 S 0.7143 0.7106 0.2527 1
S3 S 0.9963 0.2857 0.2527 1
S4 S 0.2894 0.2822 0.7552 1
S5 S 0.9927 0.7106 0.7552 1
S6 S 0.7178 0.0073 0.7552 1
S7 S 0.9729 0.3391 0.5831 1
S8 S 0.3662 0.0271 0.5831 1
S9 S 0.6609 0.6338 0.5831 1
S10 S 0.9822 0.6349 0.0780 1
S11 S 0.6526 0.0178 0.0780 1
S12 S 0.3651 0.3474 0.0780 1
S13 S 0.6345 0.6826 0.9173 1
S14 S 0.0480 0.3655 0.9173 1
S15 S 0.3174 0.9520 0.9173 1
S16 S 0.6509 0.9734 0.4116 1
S17 S 0.3225 0.3491 0.4116 1
S18 S 0.0266 0.6775 0.4116 1
O1 O 0.1853 0.0060 0.3027 1
O2 O 0.8208 0.8147 0.3027 1
O3 O 0.9940 0.1792 0.3027 1
O4 O 0.1812 0.1725 0.8076 1
O5 O 0.9913 0.8188 0.8076 1
O6 O 0.8275 0.0087 0.8076 1
O7 O 0.8028 0.9984 0.7049 1
O8 O 0.1956 0.1972 0.7049 1
O9 O 0.0016 0.8044 0.7049 1
O10 O 0.7940 0.7979 0.2000 1
O11 O 0.0039 0.2060 0.2000 1
O12 O 0.2021 0.9961 0.2000 1
O13 O 0.8869 0.3444 0.6359 1
O14 O 0.4575 0.1131 0.6359 1
O15 O 0.6556 0.5425 0.6359 1
O16 O 0.9178 0.5369 0.1305 1
O17 O 0.6191 0.0822 0.1305 1
O18 O 0.4631 0.3809 0.1305 1
O19 O 0.4488 0.3232 0.0293 1
O20 O 0.8744 0.5512 0.0293 1
O21 O 0.6768 0.1256 0.0293 1
O22 O 0.4576 0.1239 0.5326 1
O23 O 0.6662 0.5424 0.5326 1
O24 O 0.8761 0.3338 0.5326 1
O25 O 0.5378 0.6983 0.9676 1
O26 O 0.1605 0.4622 0.9676 1
O27 O 0.3017 0.8395 0.9676 1
O28 O 0.5846 0.8736 0.4636 1
O29 O 0.2890 0.4154 0.4636 1
O30 O 0.1264 0.7110 0.4636 1
O31 O 0.1103 0.6550 0.3624 1
O32 O 0.5446 0.8897 0.3624 1
O33 O 0.3450 0.4554 0.3624 1
O34 O 0.1216 0.4615 0.8658 1
O35 O 0.3399 0.8784 0.8658 1
O36 O 0.5385 0.6601 0.8658 1
O37 O 0.0111 0.8372 0.4014 1
O38 O 0.8261 0.9889 0.4014 1
O39 O 0.1628 0.1739 0.4014 1
O40 O 0.0392 0.1941 0.9142 1
O41 O 0.1549 0.9608 0.9142 1
O42 O 0.8059 0.8451 0.9142 1
O43 O 0.9909 0.1845 0.5827 1
O44 O 0.1936 0.0091 0.5827 1
O45 O 0.8155 0.8064 0.5827 1
O46 O 0.0157 0.8118 0.0826 1
O47 O 0.7960 0.9843 0.0826 1
O48 O 0.1882 0.2040 0.0826 1
O49 O 0.7115 0.1660 0.7607 1
O50 O 0.4545 0.2885 0.7607 1
O51 O 0.8340 0.5455 0.7607 1
O52 O 0.7048 0.5419 0.2552 1
O53 O 0.8370 0.2952 0.2552 1
O54 O 0.4581 0.1630 0.2552 1
O55 O 0.6622 0.5373 0.9252 1
O56 O 0.8750 0.3378 0.9252 1
O57 O 0.4627 0.1250 0.9252 1
O58 O 0.6818 0.1489 0.4164 1
O59 O 0.4671 0.3182 0.4164 1
O60 O 0.8511 0.5329 0.4164 1
O61 O 0.3523 0.5090 0.0665 1
O62 O 0.1567 0.6477 0.0665 1
O63 O 0.4910 0.8433 0.0665 1
O64 O 0.3485 0.8546 0.5819 1
O65 O 0.5062 0.6515 0.5819 1
O66 O 0.1454 0.4938 0.5819 1
O67 O 0.3105 0.8523 0.2561 1
O68 O 0.5419 0.6895 0.2561 1
O69 O 0.1477 0.4581 0.2561 1
O70 O 0.3057 0.4503 0.7607 1
O71 O 0.1446 0.6943 0.7607 1
O72 O 0.5497 0.8554 0.7607 1

# PBE-GGA NaTbGeO4, optimized geometry
# Symmetry: Pnma (62)
# Calculated volume in Å³/cell: 404
# ΔH_f (0 K) in eV per atom: -2.869
# Size of the total moment in μB/atom: 0.000
# Crystal system: orthorhombic
data_NaTbGeO4
_chemical_formula_sum 'Na4 Tb4 Ge4 O16'
_space_group_name_H-M_alt 'P 1'
_space_group_IT_number 1
_space_group_name_Hall 'P 1'
_cell_length_a 5.3425
_cell_length_b 6.5404
_cell_length_c 11.5678
_cell_angle_alpha 90.00
_cell_angle_beta 90.00
_cell_angle_gamma 90.00
loop_
_atom_site_label
_atom_site_type_symbol
_atom_site_fract_x
_atom_site_fract_y
_atom_site_fract_z
_atom_site_occupancy
Na1 Na 0.5000 0.0000 0.0000 1
Na2 Na 0.0000 0.0000 0.5000 1
Na3 Na 0.5000 0.5000 0.0000 1
Na4 Na 0.0000 0.5000 0.5000 1
Tb1 Tb 0.9959 0.7500 0.7778 1
Tb2 Tb 0.4959 0.2500 0.7222 1
Tb3 Tb 0.0041 0.2500 0.2222 1
Tb4 Tb 0.5041 0.7500 0.2778 1
Ge1 Ge 0.9449 0.7500 0.0972 1
Ge2 Ge 0.4449 0.2500 0.4028 1
Ge3 Ge 0.0551 0.2500 0.9028 1
Ge4 Ge 0.5551 0.7500 0.5972 1
O1 O 0.8252 0.7500 0.9551 1
O2 O 0.3252 0.2500 0.5449 1
O3 O 0.1748 0.2500 0.0449 1
O4 O 0.6748 0.7500 0.4551 1
O5 O 0.2078 0.0431 0.8263 1
O6 O 0.7078 0.9569 0.6737 1
O7 O 0.7922 0.5431 0.1737 1
O8 O 0.2922 0.4569 0.3263 1
O9 O 0.7922 0.9569 0.1737 1
O10 O 0.2922 0.0431 0.3263 1
O11 O 0.2078 0.4569 0.8263 1
O12 O 0.7078 0.5431 0.6737 1
O13 O 0.2294 0.7500 0.6107 1
O14 O 0.7294 0.2500 0.8893 1
O15 O 0.7706 0.2500 0.3893 1
O16 O 0.2706 0.7500 0.1107 1

# PBE-GGA FeCoSn, optimized geometry
# Symmetry: P6_3/mmc (194)
# Calculated volume in Å³/cell: 86
# ΔH_f (0 K) in eV per atom: 0.276
# Size of the total moment in μB/atom: 1.068
# Crystal system: hexagonal
data_FeCoSn
_chemical_formula_sum 'Fe2 Co2 Sn2'
_space_group_name_H-M_alt 'P 1'
_space_group_IT_number 1
_space_group_name_Hall 'P 1'
_cell_length_a 4.3887
_cell_length_b 4.3887
_cell_length_c 5.1752
_cell_angle_alpha 90.00
_cell_angle_beta 90.00
_cell_angle_gamma 120.00
loop_
_atom_site_label
_atom_site_type_symbol
_atom_site_fract_x
_atom_site_fract_y
_atom_site_fract_z
_atom_site_occupancy
Fe1 Fe 0.6667 0.3333 0.2500 1
Fe2 Fe 0.3333 0.6667 0.7500 1
Co1 Co 0.0000 0.0000 0.0000 1
Co2 Co 0.0000 0.0000 0.5000 1
Sn1 Sn 0.6667 0.3333 0.7500 1
Sn2 Sn 0.3333 0.6667 0.2500 1

# PBE-GGA Eu10Mn6Sb13, optimized geometry
# Symmetry: C2/m (12)
# Calculated volume in Å³/cell: 1658
# ΔH_f (0 K) in eV per atom: -0.681
# Size of the total moment in μB/atom: 3.235
# Crystal system: monoclinic
data_Eu10Mn6Sb13
_chemical_formula_sum 'Eu20 Mn12 Sb26'
_space_group_name_H-M_alt 'P 1'
_space_group_IT_number 1
_space_group_name_Hall 'P 1'
_cell_length_a 12.0877
_cell_length_b 12.0877
_cell_length_c 12.2278
_cell_angle_alpha 101.14
_cell_angle_beta 101.14
_cell_angle_gamma 102.64
loop_
_atom_site_label
_atom_site_type_symbol
_atom_site_fract_x
_atom_site_fract_y
_atom_site_fract_z
_atom_site_occupancy
Eu1 Eu 0.6213 0.3787 0.5000 1
Eu2 Eu 0.3787 0.6213 0.5000 1
Eu3 Eu 0.6104 0.3896 0.0000 1
Eu4 Eu 0.3896 0.6104 0.0000 1
Eu5 Eu 0.9387 0.7015 0.1723 1
Eu6 Eu 0.7015 0.9387 0.1723 1
Eu7 Eu 0.0613 0.2985 0.8277 1
Eu8 Eu 0.2985 0.0613 0.8277 1
Eu9 Eu 0.8531 0.6171 0.8320 1
Eu10 Eu 0.6171 0.8531 0.8320 1
Eu11 Eu 0.1469 0.3829 0.1680 1
Eu12 Eu 0.3829 0.1469 0.1680 1
Eu13 Eu 0.8759 0.6284 0.5011 1
Eu14 Eu 0.6284 0.8759 0.5011 1
Eu15 Eu 0.1241 0.3716 0.4989 1
Eu16 Eu 0.3716 0.1241 0.4989 1
Eu17 Eu 0.1521 0.8479 0.0000 1
Eu18 Eu 0.8479 0.1521 0.0000 1
Eu19 Eu 0.1277 0.8723 0.5000 1
Eu20 Eu 0.8723 0.1277 0.5000 1
Mn1 Mn 0.6632 0.6632 0.2297 1
Mn2 Mn 0.3368 0.3368 0.7703 1
Mn3 Mn 0.5482 0.5482 0.7752 1
Mn4 Mn 0.4518 0.4518 0.2248 1
Mn5 Mn 0.7735 0.3141 0.7755 1
Mn6 Mn 0.3141 0.7735 0.7755 1
Mn7 Mn 0.2265 0.6859 0.2245 1
Mn8 Mn 0.6859 0.2265 0.2245 1
Mn9 Mn 0.8861 0.4248 0.2240 1
Mn10 Mn 0.4248 0.8861 0.2240 1
Mn11 Mn 0.1139 0.5752 0.7760 1
Mn12 Mn 0.5752 0.1139 0.7760 1
Sb1 Sb 0.6537 0.6537 0.6291 1
Sb2 Sb 0.3463 0.3463 0.3709 1
Sb3 Sb 0.6844 0.4552 0.2765 1
Sb4 Sb 0.4552 0.6844 0.2765 1
Sb5 Sb 0.3156 0.5448 0.7235 1
Sb6 Sb 0.5448 0.3156 0.7235 1
Sb7 Sb 0.6666 0.6666 0.0027 1
Sb8 Sb 0.3334 0.3334 0.9973 1
Sb9 Sb 0.8871 0.4183 0.0000 1
Sb10 Sb 0.4183 0.8871 0.0000 1
Sb11 Sb 0.1129 0.5817 0.0000 1
Sb12 Sb 0.5817 0.1129 0.0000 1
Sb13 Sb 0.0894 0.7738 0.7227 1
Sb14 Sb 0.7738 0.0894 0.7227 1
Sb15 Sb 0.9106 0.2262 0.2773 1
Sb16 Sb 0.2262 0.9106 0.2773 1
Sb17 Sb 0.8420 0.8420 0.3782 1
Sb18 Sb 0.1580 0.1580 0.6218 1
Sb19 Sb 0.9330 0.9330 0.7520 1
Sb20 Sb 0.0670 0.0670 0.2480 1
Sb21 Sb 0.8977 0.8977 0.9997 1
Sb22 Sb 0.1023 0.1023 0.0003 1
Sb23 Sb 0.9089 0.4123 0.6399 1
Sb24 Sb 0.4123 0.9089 0.6399 1
Sb25 Sb 0.0911 0.5877 0.3601 1
Sb26 Sb 0.5877 0.0911 0.3601 1